Computed, not measured: Cs2TeO4 after structural relaxation at the PBE-GGA level of DFT. Values from VASP.

symmetry = Pnma (62)
energy relative to the elements = -1.80 eV/atom
total DFT energy (no corrections) = -4.94 eV/atom

The structure in Quantum ESPRESSO input format:
```
&SYSTEM
  ibrav = 0, nat = 28, ntyp = 3
/
ATOMIC_SPECIES
Cs 132.91 Cs.upf
Te 127.60 Te.upf
O 16.00 O.upf
CELL_PARAMETERS angstrom
8.7398 0.0000 0.0000
0.0000 6.7471 0.0000
0.0000 0.0000 11.9477
ATOMIC_POSITIONS crystal
Cs 0.0035 0.2500 0.2144
Cs 0.1726 0.7500 0.4156
Cs 0.3274 0.2500 0.9156
Cs 0.4965 0.7500 0.7144
Cs 0.5035 0.2500 0.2856
Cs 0.6726 0.7500 0.0844
Cs 0.8274 0.2500 0.5844
Cs 0.9965 0.7500 0.7856
Te 0.2191 0.7500 0.0783
Te 0.2809 0.2500 0.5783
Te 0.7191 0.7500 0.4217
Te 0.7809 0.2500 0.9217
O 0.0081 0.7500 0.0707
O 0.1920 0.2500 0.4372
O 0.2137 0.0254 0.6529
O 0.2137 0.4746 0.6529
O 0.2863 0.5254 0.1529
O 0.2863 0.9746 0.1529
O 0.3080 0.7500 0.9372
O 0.4919 0.2500 0.5707
O 0.5081 0.7500 0.4293
O 0.6920 0.2500 0.0628
O 0.7137 0.0254 0.8471
O 0.7137 0.4746 0.8471
O 0.7863 0.5254 0.3471
O 0.7863 0.9746 0.3471
O 0.8080 0.7500 0.5628
O 0.9919 0.2500 0.9293
```

***

Computed, not measured: Cs2U3Te2O14 after structural relaxation at the PBE-GGA level of DFT. Values from VASP.

symmetry = P-1 (2)
energy relative to the elements = -2.87 eV/atom
total DFT energy (no corrections) = -7.71 eV/atom
magnetic moment = 0.00 μB/f.u.

The structure in Quantum ESPRESSO input format:
```
&SYSTEM
  ibrav = 0, nat = 21, ntyp = 4
/
ATOMIC_SPECIES
Cs 132.91 Cs.upf
U 238.03 U.upf
Te 127.60 Te.upf
O 16.00 O.upf
CELL_PARAMETERS angstrom
7.0411 0.0000 0.0000
-1.1861 7.7237 0.0000
-1.4851 -3.5005 7.8765
ATOMIC_POSITIONS crystal
Cs 0.2011 0.3673 0.3226
Cs 0.7989 0.6327 0.6774
U 0.0999 0.1780 0.7299
U 0.5000 0.0000 0.5000
U 0.9001 0.8220 0.2701
Te 0.3498 0.6728 0.0289
Te 0.6502 0.3272 0.9711
O 0.1008 0.3830 0.6700
O 0.1247 0.9941 0.8103
O 0.1390 0.7438 0.1262
O 0.1800 0.0044 0.4746
O 0.3011 0.4166 0.0042
O 0.4644 0.8089 0.5762
O 0.4665 0.2234 0.7540
O 0.5335 0.7766 0.2460
O 0.5356 0.1911 0.4238
O 0.6989 0.5834 0.9958
O 0.8200 0.9956 0.5254
O 0.8610 0.2562 0.8738
O 0.8753 0.0059 0.1897
O 0.8992 0.6170 0.3300
```

***

Computed, not measured: Cs2Ti4O9 after structural relaxation at the PBE-GGA level of DFT. Values from VASP.

symmetry = C2/m (12)
energy relative to the elements = -3.23 eV/atom
total DFT energy (no corrections) = -8.01 eV/atom

The structure in Quantum ESPRESSO input format:
```
&SYSTEM
  ibrav = 0, nat = 30, ntyp = 3
/
ATOMIC_SPECIES
Cs 132.91 Cs.upf
Ti 47.87 Ti.upf
O 16.00 O.upf
CELL_PARAMETERS angstrom
10.1346 -1.9281 0.0000
10.1346 1.9281 0.0000
-3.4166 0.0000 11.7615
ATOMIC_POSITIONS crystal
Cs 0.0170 0.0170 0.3391
Cs 0.0861 0.0861 0.0867
Cs 0.9139 0.9139 0.9133
Cs 0.9830 0.9830 0.6609
Ti 0.2531 0.2531 0.8343
Ti 0.2925 0.2925 0.6011
Ti 0.3302 0.3302 0.3737
Ti 0.3669 0.3669 0.1384
Ti 0.6331 0.6331 0.8616
Ti 0.6698 0.6698 0.6263
Ti 0.7075 0.7075 0.3989
Ti 0.7469 0.7469 0.1657
O 0.1587 0.1587 0.8585
O 0.1956 0.1956 0.6414
O 0.2314 0.2314 0.4221
O 0.2665 0.2665 0.1998
O 0.3112 0.3112 0.9721
O 0.3284 0.3284 0.7531
O 0.3662 0.3662 0.5349
O 0.4016 0.4016 0.3155
O 0.4490 0.4490 0.1215
O 0.5510 0.5510 0.8785
O 0.5984 0.5984 0.6845
O 0.6338 0.6338 0.4651
O 0.6716 0.6716 0.2469
O 0.6888 0.6888 0.0279
O 0.7335 0.7335 0.8002
O 0.7686 0.7686 0.5779
O 0.8044 0.8044 0.3586
O 0.8413 0.8413 0.1415
```

***

Computed, not measured: CsTi8O16 after structural relaxation at the PBE-GGA level of DFT. Values from VASP.

symmetry = C2/c (15)
energy relative to the elements = -3.41 eV/atom
total DFT energy (no corrections) = -8.70 eV/atom
magnetic moment = 1.00 μB/f.u.

The structure in Quantum ESPRESSO input format:
```
&SYSTEM
  ibrav = 0, nat = 50, ntyp = 3
/
ATOMIC_SPECIES
Cs 132.91 Cs.upf
Ti 47.87 Ti.upf
O 16.00 O.upf
CELL_PARAMETERS angstrom
10.3803 -2.9828 0.0000
10.3803 2.9828 0.0000
-10.3732 0.0000 10.3839
ATOMIC_POSITIONS crystal
Cs 0.1566 0.8434 0.7500
Cs 0.8434 0.1566 0.2500
Ti 0.0328 0.7824 0.9042
Ti 0.1202 0.3709 0.5882
Ti 0.1343 0.3835 0.9189
Ti 0.2176 0.9672 0.5958
Ti 0.2838 0.5359 0.3998
Ti 0.3709 0.1202 0.0882
Ti 0.3835 0.1343 0.4189
Ti 0.4641 0.7162 0.1002
Ti 0.5359 0.2838 0.8998
Ti 0.6165 0.8657 0.5811
Ti 0.6291 0.8798 0.9118
Ti 0.7162 0.4641 0.6002
Ti 0.7824 0.0328 0.4042
Ti 0.8657 0.6165 0.0811
Ti 0.8798 0.6291 0.4118
Ti 0.9672 0.2176 0.0958
O 0.0200 0.2748 0.5824
O 0.0599 0.3081 0.9604
O 0.0611 0.3090 0.2873
O 0.0979 0.8506 0.4073
O 0.1494 0.9021 0.0927
O 0.1888 0.4384 0.2119
O 0.1914 0.4408 0.5404
O 0.2272 0.4757 0.9150
O 0.2748 0.0200 0.0824
O 0.3081 0.0599 0.4604
O 0.3090 0.0611 0.7873
O 0.3476 0.6000 0.9085
O 0.4000 0.6524 0.5915
O 0.4384 0.1888 0.7119
O 0.4408 0.1914 0.0404
O 0.4757 0.2272 0.4150
O 0.5243 0.7728 0.5850
O 0.5592 0.8086 0.9596
O 0.5616 0.8112 0.2881
O 0.6000 0.3476 0.4085
O 0.6524 0.4000 0.0915
O 0.6910 0.9389 0.2127
O 0.6919 0.9401 0.5396
O 0.7252 0.9800 0.9176
O 0.7728 0.5243 0.0850
O 0.8086 0.5592 0.4596
O 0.8112 0.5616 0.7881
O 0.8506 0.0979 0.9073
O 0.9021 0.1494 0.5927
O 0.9389 0.6910 0.7127
O 0.9401 0.6919 0.0396
O 0.9800 0.7252 0.4176
```

***

Computed, not measured: CsTi6O12 after structural relaxation at the PBE-GGA level of DFT. Values from VASP.

symmetry = I4/m (87)
energy relative to the elements = -3.38 eV/atom
total DFT energy (no corrections) = -8.62 eV/atom

The structure in Quantum ESPRESSO input format:
```
&SYSTEM
  ibrav = 0, nat = 38, ntyp = 3
/
ATOMIC_SPECIES
Cs 132.91 Cs.upf
Ti 47.87 Ti.upf
O 16.00 O.upf
CELL_PARAMETERS angstrom
-5.2014 5.2014 4.4759
5.2014 -5.2014 4.4759
5.2014 5.2014 -4.4759
ATOMIC_POSITIONS crystal
Cs 0.2087 0.2087 0.0000
Cs 0.7913 0.7913 0.0000
Ti 0.0142 0.5015 0.1836
Ti 0.1665 0.3484 0.5149
Ti 0.1694 0.9858 0.4873
Ti 0.3179 0.8306 0.8164
Ti 0.3484 0.8335 0.1819
Ti 0.4985 0.6821 0.5127
Ti 0.5015 0.3179 0.4873
Ti 0.6516 0.1665 0.8181
Ti 0.6821 0.1694 0.1836
Ti 0.8306 0.0142 0.5127
Ti 0.8335 0.6516 0.4851
Ti 0.9858 0.4985 0.8164
O 0.1242 0.1755 0.6320
O 0.1291 0.8340 0.6291
O 0.1569 0.7919 0.9487
O 0.1660 0.5381 0.7041
O 0.1660 0.7951 0.2951
O 0.1755 0.5436 0.0513
O 0.2049 0.5000 0.3709
O 0.2081 0.1569 0.3650
O 0.4564 0.5078 0.6320
O 0.4619 0.1660 0.6279
O 0.4922 0.1242 0.9487
O 0.5000 0.1291 0.2951
O 0.5000 0.8709 0.7049
O 0.5078 0.8758 0.0513
O 0.5381 0.8340 0.3721
O 0.5436 0.4922 0.3680
O 0.7919 0.8431 0.6350
O 0.7951 0.5000 0.6291
O 0.8245 0.4564 0.9487
O 0.8340 0.2049 0.7049
O 0.8340 0.4619 0.2959
O 0.8431 0.2081 0.0513
O 0.8709 0.1660 0.3709
O 0.8758 0.8245 0.3680
```

***

Computed, not measured: Cs6Ti2O7 after structural relaxation at the PBE-GGA level of DFT. Values from VASP.

symmetry = P2_1/c (14)
energy relative to the elements = -2.49 eV/atom
total DFT energy (no corrections) = -5.89 eV/atom

The structure in Quantum ESPRESSO input format:
```
&SYSTEM
  ibrav = 0, nat = 30, ntyp = 3
/
ATOMIC_SPECIES
Cs 132.91 Cs.upf
Ti 47.87 Ti.upf
O 16.00 O.upf
CELL_PARAMETERS angstrom
7.3279 0.0000 0.0000
0.0000 10.1152 0.0000
-7.0387 0.0000 10.1760
ATOMIC_POSITIONS crystal
Cs 0.0450 0.1502 0.4246
Cs 0.0450 0.3498 0.9246
Cs 0.2039 0.5252 0.4495
Cs 0.2039 0.9748 0.9495
Cs 0.4063 0.2104 0.2804
Cs 0.4063 0.2896 0.7804
Cs 0.5937 0.7104 0.2196
Cs 0.5937 0.7896 0.7196
Cs 0.7961 0.0252 0.0505
Cs 0.7961 0.4748 0.5505
Cs 0.9550 0.6502 0.0754
Cs 0.9550 0.8498 0.5754
Ti 0.3214 0.6350 0.8724
Ti 0.3214 0.8650 0.3724
Ti 0.6786 0.1350 0.6276
Ti 0.6786 0.3650 0.1276
O 0.0675 0.6619 0.8650
O 0.0675 0.8381 0.3650
O 0.2542 0.5894 0.7111
O 0.2542 0.9106 0.2111
O 0.4889 0.7149 0.4264
O 0.4889 0.7851 0.9264
O 0.5000 0.0000 0.5000
O 0.5000 0.5000 0.0000
O 0.5111 0.2149 0.0736
O 0.5111 0.2851 0.5736
O 0.7458 0.0894 0.7889
O 0.7458 0.4106 0.2889
O 0.9325 0.1619 0.6350
O 0.9325 0.3381 0.1350
```

***

Computed, not measured: CsTiO3 after structural relaxation at the PBE-GGA level of DFT. Values from VASP.

symmetry = Pm-3m (221)
energy relative to the elements = -2.36 eV/atom
total DFT energy (no corrections) = -6.68 eV/atom
magnetic moment = 1.00 μB/f.u.

The structure in Quantum ESPRESSO input format:
```
&SYSTEM
  ibrav = 0, nat = 5, ntyp = 3
/
ATOMIC_SPECIES
Cs 132.91 Cs.upf
Ti 47.87 Ti.upf
O 16.00 O.upf
CELL_PARAMETERS angstrom
4.1070 0.0000 0.0000
0.0000 4.1070 0.0000
0.0000 0.0000 4.1070
ATOMIC_POSITIONS crystal
Cs 0.0000 0.0000 0.0000
Ti 0.5000 0.5000 0.5000
O 0.0000 0.5000 0.5000
O 0.5000 0.0000 0.5000
O 0.5000 0.5000 0.0000
```

***

Computed, not measured: CsTlO2 after structural relaxation at the PBE-GGA level of DFT. Values from VASP.

symmetry = P6_3/mmc (194)
energy relative to the elements = -1.25 eV/atom
total DFT energy (no corrections) = -4.20 eV/atom

The structure in Quantum ESPRESSO input format:
```
&SYSTEM
  ibrav = 0, nat = 8, ntyp = 3
/
ATOMIC_SPECIES
Cs 132.91 Cs.upf
Tl 204.38 Tl.upf
O 16.00 O.upf
CELL_PARAMETERS angstrom
3.6058 0.0000 0.0000
-1.8029 3.1227 0.0000
0.0000 0.0000 13.5032
ATOMIC_POSITIONS crystal
Cs 0.3333 0.6667 0.2500
Cs 0.6667 0.3333 0.7500
Tl 0.0000 0.0000 0.0000
Tl 0.0000 0.0000 0.5000
O 0.3333 0.6667 0.5869
O 0.3333 0.6667 0.9131
O 0.6667 0.3333 0.0869
O 0.6667 0.3333 0.4131
```

***

Computed, not measured: CsTlO3 after structural relaxation at the PBE-GGA level of DFT. Values from VASP.

symmetry = Pm-3m (221)
energy relative to the elements = -0.76 eV/atom
total DFT energy (no corrections) = -3.97 eV/atom
magnetic moment = 2.00 μB/f.u.

The structure in Quantum ESPRESSO input format:
```
&SYSTEM
  ibrav = 0, nat = 5, ntyp = 3
/
ATOMIC_SPECIES
Cs 132.91 Cs.upf
Tl 204.38 Tl.upf
O 16.00 O.upf
CELL_PARAMETERS angstrom
4.5350 0.0000 0.0000
0.0000 4.5350 0.0000
0.0000 0.0000 4.5350
ATOMIC_POSITIONS crystal
Cs 0.0000 0.0000 0.0000
Tl 0.5000 0.5000 0.5000
O 0.0000 0.5000 0.5000
O 0.5000 0.0000 0.5000
O 0.5000 0.5000 0.0000
```

***

Computed, not measured: Cs8Tl8O after structural relaxation at the PBE-GGA level of DFT. Values from VASP.

symmetry = R-3 (148)
energy relative to the elements = -0.32 eV/atom
total DFT energy (no corrections) = -2.10 eV/atom

The structure in Quantum ESPRESSO input format:
```
&SYSTEM
  ibrav = 0, nat = 17, ntyp = 3
/
ATOMIC_SPECIES
Cs 132.91 Cs.upf
Tl 204.38 Tl.upf
O 16.00 O.upf
CELL_PARAMETERS angstrom
4.5933 2.6520 10.9223
-4.5933 2.6520 10.9223
0.0000 -5.3039 10.9223
ATOMIC_POSITIONS crystal
Cs 0.0380 0.1685 0.6480
Cs 0.1685 0.6480 0.0380
Cs 0.1714 0.1714 0.1714
Cs 0.3520 0.9620 0.8315
Cs 0.6480 0.0380 0.1685
Cs 0.8286 0.8286 0.8286
Cs 0.8315 0.3520 0.9620
Cs 0.9620 0.8315 0.3520
Tl 0.2519 0.4581 0.6712
Tl 0.3288 0.7481 0.5419
Tl 0.3808 0.3808 0.3808
Tl 0.4581 0.6712 0.2519
Tl 0.5419 0.3288 0.7481
Tl 0.6192 0.6192 0.6192
Tl 0.6712 0.2519 0.4581
Tl 0.7481 0.5419 0.3288
O 0.0000 0.0000 0.0000
```

***

Computed, not measured: Cs4Tl2O after structural relaxation at the PBE-GGA level of DFT. Values from VASP.

symmetry = R-3m (166)
energy relative to the elements = -0.56 eV/atom
total DFT energy (no corrections) = -2.36 eV/atom
magnetic moment = 0.58 μB/f.u.

The structure in Quantum ESPRESSO input format:
```
&SYSTEM
  ibrav = 0, nat = 21, ntyp = 3
/
ATOMIC_SPECIES
Cs 132.91 Cs.upf
Tl 204.38 Tl.upf
O 16.00 O.upf
CELL_PARAMETERS angstrom
6.2130 3.5871 6.9651
-6.2130 3.5871 6.9651
0.0000 -7.1742 6.9651
ATOMIC_POSITIONS crystal
Cs 0.1326 0.1326 0.4620
Cs 0.1326 0.4620 0.1326
Cs 0.2125 0.5150 0.5150
Cs 0.4620 0.1326 0.1326
Cs 0.4850 0.4850 0.7875
Cs 0.4850 0.7875 0.4850
Cs 0.5150 0.2125 0.5150
Cs 0.5150 0.5150 0.2125
Cs 0.5380 0.8674 0.8674
Cs 0.7875 0.4850 0.4850
Cs 0.8674 0.5380 0.8674
Cs 0.8674 0.8674 0.5380
Tl 0.1127 0.8479 0.8479
Tl 0.1521 0.1521 0.8873
Tl 0.1521 0.8873 0.1521
Tl 0.8479 0.1127 0.8479
Tl 0.8479 0.8479 0.1127
Tl 0.8873 0.1521 0.1521
O 0.3198 0.3198 0.3198
O 0.5000 0.5000 0.5000
O 0.6802 0.6802 0.6802
```

***

Computed, not measured: Cs3TlO3 after structural relaxation at the PBE-GGA level of DFT. Values from VASP.

symmetry = C2/m (12)
energy relative to the elements = -1.35 eV/atom
total DFT energy (no corrections) = -3.90 eV/atom

The structure in Quantum ESPRESSO input format:
```
&SYSTEM
  ibrav = 0, nat = 14, ntyp = 3
/
ATOMIC_SPECIES
Cs 132.91 Cs.upf
Tl 204.38 Tl.upf
O 16.00 O.upf
CELL_PARAMETERS angstrom
4.0782 -6.3496 0.0000
4.0782 6.3496 0.0000
-1.5439 0.0000 7.3745
ATOMIC_POSITIONS crystal
Cs 0.1963 0.8037 0.0000
Cs 0.2568 0.7432 0.5000
Cs 0.3667 0.3667 0.1563
Cs 0.6333 0.6333 0.8437
Cs 0.7432 0.2568 0.5000
Cs 0.8037 0.1963 0.0000
Tl 0.1789 0.1789 0.6506
Tl 0.8211 0.8211 0.3494
O 0.0977 0.0977 0.3434
O 0.1607 0.4456 0.7731
O 0.4456 0.1607 0.7731
O 0.5544 0.8393 0.2269
O 0.8393 0.5544 0.2269
O 0.9023 0.9023 0.6566
```